# V3Pb5O12F GGA+U relaxed
data_V3Pb5O12F
_chemical_formula_sum 'V6 Pb10 O24 F2'
_cell_length_a 10.3799
_cell_length_b 10.3799
_cell_length_c 7.3170
_cell_angle_alpha 90.00
_cell_angle_beta 90.00
_cell_angle_gamma 120.00
_space_group_name_H-M_alt 'P 63/m'
_space_group_IT_number 176
_space_group_name_Hall '-P 6c'
loop_
_atom_site_label
_atom_site_type_symbol
_atom_site_fract_x
_atom_site_fract_y
_atom_site_fract_z
V1 V 0.0260 0.6162 0.2500
Pb1 Pb 0.0186 0.2435 0.2500
Pb2 Pb 0.3333 0.6667 0.5071
O1 O 0.0895 0.7349 0.0615
O2 O 0.1159 0.5103 0.2500
O3 O 0.1669 0.4971 0.7500
F1 F 0.0000 0.0000 0.0000
# - excess energy over the best structure of this formula in the dataset (meV per atom) = 12
# - total energy (eV per atom) = -6.561
# - ΔH_f (0 K) (eV per atom) = -2.119